Entry from the Materials Project: crystalline UTeAs at its relaxed geometry (GGA-PBE).

Lattice parameters (Å, degrees): 9.0944 9.0944 9.0944 153.51 153.51 37.81
With the nearest neighbours (Å) after each atom.
Sites, in units of the cell vectors:
As: 0.0000 0.5000 0.5000  4 U 2.91, 4 As 2.95
As: 0.5000 0.0000 0.5000  4 U 2.91, 4 As 2.95
U: 0.8817 0.8817 0.0000  4 As 2.91, 4 Te 3.17
U: 0.1183 0.1183 0.0000  4 As 2.91, 4 Te 3.17
Te: 0.6855 0.6855 0.0000  5 U 3.17-3.38
Te: 0.3145 0.3145 0.0000  5 U 3.17-3.38

Calculated values
SG: I4/mmm (139)
Final energy: -7.055 eV per atom
Energy of formation: -690.2 meV/atom

---

Entry from the Materials Project: crystalline Cs2Hg3S4 at its relaxed geometry (GGA-PBE).

Lattice parameters (Å, degrees): 6.4615 9.9941 9.9941 73.32 71.14 71.14
With the nearest neighbours (Å) after each atom.
Sites, in units of the cell vectors:
S: 0.8678 0.7239 0.9874  2 Hg 2.38-2.64
S: 0.9209 0.2239 0.4874  2 Hg 2.38-2.64
S: 0.0791 0.7761 0.5126  2 Hg 2.38-2.64
S: 0.4209 0.9874 0.7239  2 Hg 2.38-2.64
S: 0.6322 0.5126 0.7761  2 Hg 2.38-2.64
S: 0.1322 0.2761 0.0126  2 Hg 2.38-2.64
S: 0.3678 0.4874 0.2239  2 Hg 2.38-2.64
S: 0.5791 0.0126 0.2761  2 Hg 2.38-2.64
Cs: 0.7578 0.1217 0.8783  8 S 3.63-3.97, 2 Hg 4.01
Cs: 0.7422 0.6217 0.3783  8 S 3.63-3.97, 2 Hg 4.01
Cs: 0.2422 0.8783 0.1217  8 S 3.63-3.97, 2 Hg 4.01
Cs: 0.2578 0.3783 0.6217  8 S 3.63-3.97, 2 Hg 4.01
Hg: 0.7500 0.0932 0.4068  2 S 2.38
Hg: 0.2500 0.5932 0.9068  2 S 2.38
Hg: 0.2500 0.2500 0.2500  4 S 2.64
Hg: 0.7500 0.7500 0.7500  4 S 2.64
Hg: 0.7500 0.4068 0.0932  2 S 2.38
Hg: 0.2500 0.9068 0.5932  2 S 2.38

Calculated values
SG: Ibam (72)
Final energy: -2.699 eV per atom
Energy of formation: -783.9 meV/atom

---

Entry from the Materials Project: crystalline LiBiP2O7 at its relaxed geometry (GGA-PBE).

Lattice parameters (Å, degrees): 6.5781 6.6769 6.7965 96.24 115.06 87.99
With the nearest neighbours (Å) after each atom.
Sites, in units of the cell vectors:
O: 0.1349 0.6904 0.0447  1 P 1.55
O: 0.5935 0.4262 0.2664  1 P 1.54
O: 0.1391 0.9224 0.3810  1 P 1.54
O: 0.8651 0.3096 0.9553  1 P 1.55
O: 0.4851 0.7594 0.4045  2 P 1.60-1.63
O: 0.5149 0.2406 0.5955  2 P 1.60-1.63
O: 0.6847 0.9707 0.8649  1 P 1.54
O: 0.2785 0.2450 0.8070  1 P 1.52
O: 0.7215 0.7550 0.1930  1 P 1.52
O: 0.4065 0.5738 0.7336  1 P 1.54
O: 0.8609 0.0776 0.6190  1 P 1.54
O: 0.1209 0.3517 0.4127  1 P 1.54
O: 0.8791 0.6483 0.5873  1 P 1.54
O: 0.3153 0.0293 0.1351  1 P 1.54
Li: 0.2300 0.3488 0.0785  4 O 2.05-2.23
Li: 0.7700 0.6512 0.9215  4 O 2.05-2.23
Bi: 0.1923 0.8564 0.7523  6 O 2.31-2.54
Bi: 0.8077 0.1436 0.2477  6 O 2.31-2.54
P: 0.3149 0.3579 0.6422  4 O 1.52-1.63
P: 0.7394 0.1465 0.7651  4 O 1.54-1.60
P: 0.2606 0.8535 0.2349  4 O 1.54-1.60
P: 0.6851 0.6421 0.3578  4 O 1.52-1.63

Calculated values
SG: P-1 (2)
Final energy: -6.735 eV per atom
Energy of formation: -2512.4 meV/atom
M_tot: 0.00 μB/f.u.
Energy above the most stable polymorph in this dataset: 2.3 kJ per mole of atoms

---

Entry from the Materials Project: crystalline Ho2CdSe4 at its relaxed geometry (GGA-PBE).

Lattice parameters (Å, degrees): 8.3261 8.3261 8.3261 60.00 60.00 60.00
With the nearest neighbours (Å) after each atom.
Sites, in units of the cell vectors:
Ho: 0.6250 0.1250 0.6250  6 Se 2.86
Ho: 0.1250 0.6250 0.6250  6 Se 2.86
Ho: 0.6250 0.6250 0.6250  6 Se 2.86
Ho: 0.6250 0.6250 0.1250  6 Se 2.86
Se: 0.3823 0.3823 0.8532  1 Cd 2.70, 3 Ho 2.86
Se: 0.3823 0.3823 0.3823  1 Cd 2.70, 3 Ho 2.86
Se: 0.3823 0.8532 0.3823  1 Cd 2.70, 3 Ho 2.86
Se: 0.8677 0.3968 0.8677  1 Cd 2.70, 3 Ho 2.86
Se: 0.8677 0.8677 0.8677  1 Cd 2.70, 3 Ho 2.86
Se: 0.3968 0.8677 0.8677  1 Cd 2.70, 3 Ho 2.86
Se: 0.8677 0.8677 0.3968  1 Cd 2.70, 3 Ho 2.86
Se: 0.8532 0.3823 0.3823  1 Cd 2.70, 3 Ho 2.86
Cd: 0.2500 0.2500 0.2500  4 Se 2.70
Cd: 0.0000 0.0000 0.0000  4 Se 2.70

Calculated values
SG: Fd-3m (227)
Final energy: -4.947 eV per atom
Energy of formation: -1777.5 meV/atom
Energy above the most stable polymorph in this dataset: 0.0 kJ per mole of atoms

---

Entry from the Materials Project: crystalline K4TiO4 at its relaxed geometry (GGA-PBE).

Lattice parameters (Å, degrees): 6.8993 6.8993 7.4607 90.00 90.00 91.92
With the nearest neighbours (Å) after each atom.
Sites, in units of the cell vectors:
K: 0.1677 0.1677 0.5000  4 O 2.58-2.70
K: 0.8638 0.4545 0.7500  4 O 2.74-2.80, 1 K 3.05
K: 0.5455 0.1362 0.7500  4 O 2.74-2.80, 1 K 3.05
K: 0.8323 0.8323 0.0000  4 O 2.58-2.70
K: 0.1362 0.5455 0.2500  4 O 2.74-2.80, 1 K 3.05
K: 0.4545 0.8638 0.2500  4 O 2.74-2.80, 1 K 3.05
K: 0.8323 0.8323 0.5000  4 O 2.58-2.70
K: 0.1677 0.1677 0.0000  4 O 2.58-2.70
O: 0.2158 0.7842 0.5465  1 Ti 1.87
O: 0.2158 0.7842 0.9535  1 Ti 1.87
O: 0.4094 0.2660 0.2500  1 Ti 1.86
O: 0.5906 0.7340 0.7500  1 Ti 1.86
O: 0.2660 0.4094 0.7500  1 Ti 1.86
O: 0.7340 0.5906 0.2500  1 Ti 1.86
O: 0.7842 0.2158 0.0465  1 Ti 1.87
O: 0.7842 0.2158 0.4535  1 Ti 1.87
Ti: 0.3263 0.6737 0.7500  4 O 1.86-1.87
Ti: 0.6737 0.3263 0.2500  4 O 1.86-1.87

Calculated values
SG: Cmcm (63)
Final energy: -5.569 eV per atom
Energy of formation: -2304.4 meV/atom
M_tot: 0.00 μB/f.u.
Energy above the most stable polymorph in this dataset: 8.0 kJ per mole of atoms

---

Entry from the Materials Project: crystalline RbSbBrF3 at its relaxed geometry (GGA-PBE).

Lattice parameters (Å, degrees): 4.5652 7.8778 9.1016 110.50 99.11 103.53
With the nearest neighbours (Å) after each atom.
Sites, in units of the cell vectors:
F: 0.6055 0.5593 0.6839  1 Sb 2.00
F: 0.6994 0.8794 0.5853  1 Sb 2.01
F: 0.3945 0.4407 0.3161  1 Sb 2.00
F: 0.7779 0.2355 0.3004  1 Sb 1.99
F: 0.2221 0.7645 0.6996  1 Sb 1.99
F: 0.3006 0.1206 0.4147  1 Sb 2.01
Br: 0.4366 0.7725 0.0690  2 Sb 3.08, 2 F 3.32-3.33
Br: 0.5634 0.2275 0.9310  2 Sb 3.08, 2 F 3.32-3.33
Sb: 0.6807 0.8402 0.7910  3 F 1.99-2.01
Sb: 0.3193 0.1598 0.2090  3 F 1.99-2.01
Rb: 0.0119 0.6872 0.3471  6 F 2.87-3.19
Rb: 0.9881 0.3128 0.6529  6 F 2.87-3.19

Calculated values
SG: P-1 (2)
Final energy: -4.273 eV per atom
Energy of formation: -2422.0 meV/atom
M_tot: 0.00 μB/f.u.

---

Entry from the Materials Project: crystalline MgSc2S4 at its relaxed geometry (GGA-PBE).

Lattice parameters (Å, degrees): 6.9610 6.9610 6.9610 110.09 110.09 108.24
With the nearest neighbours (Å) after each atom.
Sites, in units of the cell vectors:
S: 0.6244 0.8668 0.6387  1 Mg 2.53, 2 Sc 2.56
S: 0.1256 0.2643 0.7423  1 Mg 2.53, 2 Sc 2.56
S: 0.7357 0.4781 0.8613  1 Mg 2.53, 2 Sc 2.56
S: 0.1332 0.7719 0.7577  1 Mg 2.53, 2 Sc 2.56
S: 0.5219 0.3832 0.2577  1 Mg 2.53, 2 Sc 2.56
S: 0.2281 0.9857 0.3613  1 Mg 2.53, 2 Sc 2.56
S: 0.0143 0.3756 0.2423  1 Mg 2.53, 2 Sc 2.56
S: 0.6168 0.8744 0.1387  1 Mg 2.53, 2 Sc 2.56
Sc: 0.8750 0.7569 0.3819  4 S 2.56
Sc: 0.3750 0.4931 0.6181  4 S 2.56
Sc: 0.5069 0.1250 0.8819  4 S 2.56
Sc: 0.2431 0.6250 0.1181  4 S 2.56
Mg: 0.0000 0.0000 0.0000  4 S 2.53
Mg: 0.7500 0.2500 0.5000  4 S 2.53

Calculated values
SG: I-42d (122)
Final energy: -6.025 eV per atom
Energy of formation: -1911.2 meV/atom
M_tot: 0.00 μB/f.u.
Energy above the most stable polymorph in this dataset: 15.3 kJ per mole of atoms

---

Entry from the Materials Project: crystalline KDy2F7 at its relaxed geometry (GGA-PBE).

Lattice parameters (Å, degrees): 8.2867 8.2867 12.0613 59.73 59.73 58.40
With the nearest neighbours (Å) after each atom.
Sites, in units of the cell vectors:
F: 0.7618 0.2392 0.8485  3 Dy 2.34-2.43, 3 F 2.56-2.61
F: 0.2781 0.6142 0.3506  2 Dy 2.25-2.26
F: 0.7852 0.2491 0.5278  2 Dy 2.22-2.31
F: 0.9634 0.6189 0.8732  2 Dy 2.24-2.29
F: 0.2392 0.7618 0.8485  3 Dy 2.34-2.43, 3 F 2.56-2.61
F: 0.0131 0.0131 0.3612  2 Dy 2.27
F: 0.2200 0.2200 0.8625  2 Dy 2.26
F: 0.6189 0.9634 0.8732  2 Dy 2.24-2.29
F: 0.6142 0.2781 0.3506  2 Dy 2.25-2.26
F: 0.2491 0.7852 0.5278  2 Dy 2.22-2.31
F: 0.0036 0.0036 0.9926  3 Dy 2.33-2.36, 1 F 2.57
F: 0.6211 0.2858 0.1128  2 Dy 2.22-2.24
F: 0.0017 0.4702 0.3751  3 Dy 2.34-2.44, 3 F 2.56-2.61
F: 0.4577 0.9812 0.6966  2 Dy 2.22-2.32
F: 0.2952 0.9370 0.1131  2 Dy 2.22-2.23
F: 0.2304 0.2304 0.2299  3 Dy 2.35-2.36, 3 F 2.58-2.61
F: 0.9812 0.4577 0.6966  2 Dy 2.22-2.32
F: 0.6152 0.6152 0.3491  2 Dy 2.23
F: 0.5145 0.5145 0.6830  2 Dy 2.30, 1 F 2.47
F: 0.4702 0.0017 0.3751  3 Dy 2.34-2.44, 3 F 2.56-2.61
F: 0.9453 0.6133 0.1116  2 Dy 2.22-2.25
F: 0.7238 0.7238 0.5361  2 Dy 2.31, 1 F 2.47
F: 0.6240 0.6240 0.8815  2 Dy 2.20
F: 0.0142 0.0142 0.7001  3 Dy 2.33-2.44, 3 F 2.51-2.56
F: 0.2858 0.6211 0.1128  2 Dy 2.22-2.24
F: 0.9370 0.2952 0.1131  2 Dy 2.22-2.23
F: 0.2248 0.2248 0.5252  3 Dy 2.33-2.45, 3 F 2.51-2.56
F: 0.6133 0.9453 0.1116  2 Dy 2.22-2.25
Dy: 0.3784 0.8593 0.6115  8 F 2.22-2.45
Dy: 0.3558 0.8811 0.9318  8 F 2.20-2.43
Dy: 0.8593 0.3784 0.6115  8 F 2.22-2.45
Dy: 0.3587 0.3587 0.2903  8 F 2.22-2.38
Dy: 0.3528 0.8783 0.2939  8 F 2.23-2.44
Dy: 0.8764 0.8764 0.9333  8 F 2.22-2.42
Dy: 0.8811 0.3558 0.9318  8 F 2.20-2.43
Dy: 0.8783 0.3528 0.2939  8 F 2.23-2.44
K: 0.8564 0.8564 0.6327  10 F 2.67-2.94
K: 0.8815 0.8815 0.2649  5 F 2.68-2.75
K: 0.3795 0.3795 0.5939  10 F 2.68-2.95
K: 0.3493 0.3493 0.9581  5 F 2.68-2.77

Calculated values
SG: Cm (8)
Final energy: -6.267 eV per atom
Energy of formation: -4217.6 meV/atom
M_tot: 0.00 μB/f.u.